[1]
The following is a PBE-GGA calculation of a relaxed structure of SrIn3, from the Materials Project database.

- V: 28.954 Å³/atom
- VASP energy: -2.771 eV/atom

Cell lengths 4.8744, 4.8744, 4.8744 Å; angles 90.00, 90.00, 90.00 degrees
Fractional positions:
1 Sr 0.0000 0.0000 0.0000
2 In 0.5000 0.5000 0.0000
3 In 0.5000 0.0000 0.5000
4 In 0.0000 0.5000 0.5000

[2]
The following is a PBE-GGA calculation of a relaxed structure of Na6RuN4, from the Materials Project database.

- V: 15.237 Å³/atom
- Magnetic moment: 2.804 μB per cell
- VASP energy: -4.473 eV/atom

Cell lengths 7.5416, 7.5416, 5.8939 Å; angles 90.00, 90.00, 90.00 degrees
Fractional positions:
1 N 0.7868 0.0000 0.1694
2 N 0.5000 0.2868 0.6694
3 N 0.0000 0.2132 0.8306
4 N 0.2868 0.5000 0.3306
5 N 0.2132 0.0000 0.1694
6 N 0.7132 0.5000 0.3306
7 N 0.5000 0.7132 0.6694
8 N 0.0000 0.7868 0.8306
9 Ru 0.5000 0.5000 0.5000
10 Ru 0.0000 0.0000 0.0000
11 Na 0.2073 0.7927 0.5000
12 Na 0.7073 0.2927 0.0000
13 Na 0.2927 0.2927 0.0000
14 Na 0.7927 0.2073 0.5000
15 Na 0.0000 0.5000 0.1679
16 Na 0.0000 0.5000 0.6679
17 Na 0.2927 0.7073 0.0000
18 Na 0.5000 0.0000 0.3321
19 Na 0.2073 0.2073 0.5000
20 Na 0.5000 0.0000 0.8321
21 Na 0.7073 0.7073 0.0000
22 Na 0.7927 0.7927 0.5000

[3]
The following is a PBE-GGA calculation of a relaxed structure of Hg, from the Materials Project database.

- V: 32.076 Å³/atom
- VASP energy: -0.297 eV/atom
- Polymorph energy (0 for the lowest one): 0.007 eV per atom

Cell lengths 3.5927, 3.5927, 11.4781 Å; angles 90.00, 90.00, 120.00 degrees
Fractional positions:
1 Hg 0.3333 0.6667 0.2500
2 Hg 0.6667 0.3333 0.7500
3 Hg 0.0000 0.0000 0.5000
4 Hg 0.0000 0.0000 0.0000

[4]
The following is a PBE-GGA calculation of a relaxed structure of UCoNiGe2, from the Materials Project database.

- V: 16.137 Å³/atom
- Magnetic moment: 2.801 μB per cell
- VASP energy: -7.058 eV/atom
- Polymorph energy (0 for the lowest one): 0.011 eV per atom

Cell lengths 4.1009, 4.1009, 9.5953 Å; angles 90.00, 90.00, 90.00 degrees
Fractional positions:
1 Co 0.5000 0.0000 0.3745
2 Co 0.0000 0.5000 0.6255
3 Ni 0.0000 0.0000 0.0000
4 Ni 0.5000 0.5000 0.0000
5 Ge 0.0000 0.5000 0.8670
6 Ge 0.5000 0.5000 0.5000
7 Ge 0.0000 0.0000 0.5000
8 Ge 0.5000 0.0000 0.1330
9 U 0.5000 0.0000 0.7528
10 U 0.0000 0.5000 0.2472

[5]
The following is a PBE-GGA calculation of a relaxed structure of Si6C8N2Cl4O3, from the Materials Project database.

- V: 30.253 Å³/atom
- Magnetic moment: 8.031 μB per cell
- VASP energy: -6.242 eV/atom

Cell lengths 10.0676, 14.9351, 19.4001 Å; angles 72.58, 90.00, 90.00 degrees
Fractional positions:
1 Si 0.5815 0.7525 0.7978
2 Si 0.8497 0.3937 0.6650
3 Si 0.7823 0.8800 0.1439
4 Si 0.2141 0.3161 0.0862
5 Si 0.1503 0.6063 0.3350
6 Si 0.0229 0.7480 0.1844
7 Si 0.9505 0.7902 0.4403
8 Si 0.5495 0.7902 0.9403
9 Si 0.4185 0.2475 0.2022
10 Si 0.6503 0.3937 0.1650
11 Si 0.2823 0.1200 0.3561
12 Si 0.0815 0.2475 0.7022
13 Si 0.2177 0.1200 0.8561
14 Si 0.4771 0.7480 0.6844
15 Si 0.2859 0.3161 0.5862
16 Si 0.7859 0.6839 0.9138
17 Si 0.4505 0.2098 0.0597
18 Si 0.0495 0.2098 0.5597
19 Si 0.3497 0.6063 0.8350
20 Si 0.9771 0.2520 0.8156
21 Si 0.5229 0.2520 0.3156
22 Si 0.9185 0.7525 0.2978
23 Si 0.7177 0.8800 0.6439
24 Si 0.7141 0.6839 0.4138
25 C 0.0397 0.7259 0.0972
26 C 0.4603 0.7259 0.5972
27 C 0.7817 0.5076 0.7168
28 C 0.2183 0.4924 0.2832
29 C 0.6326 0.9225 0.1897
30 C 0.3674 0.0775 0.8103
31 C 0.1999 0.5614 0.7907
32 C 0.1345 0.7770 0.1075
33 C 0.8001 0.4386 0.2093
34 C 0.7081 0.9979 0.1902
35 C 0.7883 0.0171 0.1311
36 C 0.5397 0.2741 0.4028
37 C 0.1303 0.4724 0.3390
38 C 0.7919 0.9979 0.6902
39 C 0.3655 0.7770 0.6075
40 C 0.2117 0.9829 0.8689
41 C 0.3697 0.4724 0.8390
42 C 0.6999 0.4386 0.7093
43 C 0.6303 0.5276 0.1610
44 C 0.7117 0.0171 0.6311
45 C 0.3001 0.5614 0.2907
46 C 0.8697 0.5276 0.6610
47 C 0.8674 0.9225 0.6897
48 C 0.9603 0.2741 0.9028
49 C 0.8655 0.2230 0.8925
50 C 0.2919 0.0021 0.8098
51 C 0.7183 0.5076 0.2168
52 C 0.2817 0.4924 0.7832
53 C 0.2883 0.9829 0.3689
54 C 0.2081 0.0021 0.3098
55 C 0.1326 0.0775 0.3103
56 C 0.6345 0.2230 0.3925
57 Cl 0.3899 0.7283 0.9986
58 Cl 0.1101 0.7283 0.4986
59 Cl 0.0446 0.2402 0.0969
60 Cl 0.5446 0.7598 0.4031
61 Cl 0.4156 0.0847 0.0425
62 Cl 0.3245 0.4542 0.5419
63 Cl 0.0844 0.0847 0.5425
64 Cl 0.5844 0.9153 0.9575
65 Cl 0.1755 0.4542 0.0419
66 Cl 0.9156 0.9153 0.4575
67 Cl 0.4554 0.2402 0.5969
68 Cl 0.9554 0.7598 0.9031
69 Cl 0.8899 0.2717 0.5014
70 Cl 0.8245 0.5458 0.9581
71 Cl 0.6755 0.5458 0.4581
72 Cl 0.6101 0.2717 0.0014
73 O 0.0224 0.1935 0.6465
74 O 0.3207 0.2790 0.0368
75 O 0.9776 0.8065 0.3535
76 O 0.5224 0.8065 0.8535
77 O 0.2825 0.3013 0.1661
78 O 0.1793 0.2790 0.5368
79 O 0.7175 0.6987 0.8339
80 O 0.8207 0.7210 0.4632
81 O 0.4776 0.1935 0.1465
82 O 0.2175 0.3013 0.6661
83 O 0.6793 0.7210 0.9632
84 O 0.7825 0.6987 0.3339
85 N 0.3996 0.1843 0.2932
86 N 0.1004 0.1843 0.7932
87 N 0.0421 0.6831 0.2739
88 N 0.9579 0.3169 0.7261
89 N 0.6004 0.8157 0.7068
90 N 0.8996 0.8157 0.2068
91 N 0.5421 0.3169 0.2261
92 N 0.4579 0.6831 0.7739

[6]
The following is a PBE-GGA calculation of a relaxed structure of Sb, from the Materials Project database.

- V: 29.904 Å³/atom
- Magnetic moment: 0.000 μB per cell
- VASP energy: -4.079 eV/atom
- Polymorph energy (0 for the lowest one): 0.050 eV per atom

Cell lengths 4.3475, 3.1224, 4.4060 Å; angles 89.49, 90.00, 90.00 degrees
Fractional positions:
1 Sb 0.7500 0.0114 0.7588
2 Sb 0.2500 0.9886 0.2412

[7]
The following is a PBE-GGA calculation of a relaxed structure of Pd34Se11, from the Materials Project database.

- V: 16.470 Å³/atom
- Magnetic moment: 0.000 μB per cell
- VASP energy: -4.938 eV/atom

Cell lengths 5.6107, 12.2785, 21.8276 Å; angles 99.68, 90.00, 90.00 degrees
Fractional positions:
1 Pd 0.6471 0.1921 0.2078
2 Pd 0.4204 0.7807 0.2569
3 Pd 0.3520 0.5865 0.7138
4 Pd 0.1480 0.0865 0.2138
5 Pd 0.0870 0.7263 0.3707
6 Pd 0.4089 0.3764 0.1655
7 Pd 0.9205 0.0033 0.5662
8 Pd 0.2210 0.1756 0.5331
9 Pd 0.0740 0.8427 0.1445
10 Pd 0.2953 0.0351 0.7749
11 Pd 0.7953 0.4649 0.7251
12 Pd 0.0796 0.2807 0.7569
13 Pd 0.5740 0.6573 0.3555
14 Pd 0.4281 0.9397 0.5504
15 Pd 0.8520 0.9135 0.7862
16 Pd 0.3893 0.9078 0.0214
17 Pd 0.1107 0.4078 0.5214
18 Pd 0.8754 0.8153 0.0216
19 Pd 0.2047 0.5351 0.2749
20 Pd 0.6095 0.9518 0.6746
21 Pd 0.0719 0.4397 0.0504
22 Pd 0.0911 0.8764 0.6655
23 Pd 0.7790 0.8244 0.4669
24 Pd 0.1471 0.3079 0.2922
25 Pd 0.5911 0.6236 0.8345
26 Pd 0.6246 0.3153 0.5216
27 Pd 0.1854 0.6371 0.5954
28 Pd 0.8893 0.5922 0.4786
29 Pd 0.3754 0.6847 0.4784
30 Pd 0.7976 0.2490 0.0846
31 Pd 0.9281 0.5603 0.9496
32 Pd 0.2482 0.1087 0.6556
33 Pd 0.9130 0.2737 0.6293
34 Pd 0.0795 0.9967 0.4338
35 Pd 0.4205 0.4967 0.9338
36 Pd 0.8144 0.0280 0.1042
37 Pd 0.9204 0.7193 0.2431
38 Pd 0.9260 0.1573 0.8555
39 Pd 0.8905 0.4518 0.1746
40 Pd 0.6107 0.0922 0.9786
41 Pd 0.5719 0.0603 0.4496
42 Pd 0.3146 0.1371 0.0954
43 Pd 0.3529 0.8079 0.7922
44 Pd 0.4260 0.3427 0.6445
45 Pd 0.3905 0.0482 0.3254
46 Pd 0.2790 0.6756 0.0331
47 Pd 0.9089 0.1236 0.3345
48 Pd 0.2518 0.6087 0.1556
49 Pd 0.1856 0.9720 0.8958
50 Pd 0.1246 0.1847 0.9784
51 Pd 0.5795 0.5033 0.0662
52 Pd 0.7047 0.9649 0.2251
53 Pd 0.6854 0.8629 0.9046
54 Pd 0.7210 0.3244 0.9669
55 Pd 0.2976 0.2510 0.4154
56 Pd 0.7518 0.8913 0.3444
57 Pd 0.5870 0.7737 0.1293
58 Pd 0.5796 0.2193 0.7431
59 Pd 0.4130 0.2263 0.8707
60 Pd 0.6856 0.5280 0.6042
61 Pd 0.3144 0.4720 0.3958
62 Pd 0.6480 0.4135 0.2862
63 Pd 0.7024 0.7490 0.5846
64 Pd 0.8146 0.3629 0.4046
65 Pd 0.1095 0.5482 0.8254
66 Pd 0.8529 0.6921 0.7078
67 Pd 0.7482 0.3913 0.8444
68 Pd 0.2024 0.7510 0.9154
69 Se 0.5000 0.5000 0.5000
70 Se 0.5887 0.1400 0.5890
71 Se 0.4502 0.7644 0.6786
72 Se 0.0887 0.3600 0.9110
73 Se 0.5498 0.2356 0.3214
74 Se 0.0778 0.4635 0.6388
75 Se 0.4113 0.8600 0.4110
76 Se 0.9132 0.1891 0.4549
77 Se 0.4153 0.4143 0.7730
78 Se 0.5778 0.0365 0.8612
79 Se 0.0498 0.2644 0.1786
80 Se 0.5847 0.5857 0.2270
81 Se 0.9153 0.0857 0.7270
82 Se 0.9222 0.5365 0.3612
83 Se 0.4132 0.3109 0.0451
84 Se 0.0868 0.8109 0.5451
85 Se 0.9502 0.7356 0.8214
86 Se 0.4222 0.9635 0.1388
87 Se 0.9113 0.6400 0.0890
88 Se 0.0000 0.0000 0.0000
89 Se 0.5868 0.6891 0.9549
90 Se 0.0847 0.9143 0.2730

[8]
The following is a PBE-GGA calculation of a relaxed structure of SrCu2O3, from the Materials Project database.

- V: 13.657 Å³/atom
- VASP energy: -5.461 eV/atom
- Polymorph energy (0 for the lowest one): 0.000 eV per atom

Cell lengths 3.5598, 3.9750, 6.1226 Å; angles 71.06, 90.00, 90.00 degrees
Fractional positions:
1 Cu 0.0000 0.6651 0.6698
2 Cu 0.0000 0.3349 0.3302
3 O 0.0000 0.1702 0.6595
4 O 0.0000 0.5000 0.0000
5 O 0.0000 0.8298 0.3405
6 Sr 0.5000 0.0000 0.0000

> Which value of V does entry 7 give?

16.470 Å³/atom

> Which of these has the lowest V?

SrCu2O3